# 1
First-principles (GGA+U) data for a relaxed structure of NaMnO2, as listed in the Materials Project.

The structure in POSCAR format:
```
NaMnO2
1.0
-1.874 -0.719 -5.712
-6.382 -0.669 -1.024
-3.468 4.934 0.529
Mn Na O
4 4 8
Direct
0.500 0.500 0.000
0.000 0.000 0.000
0.500 0.500 0.500
0.500 0.000 0.000
0.000 0.000 0.500
0.500 0.000 0.500
0.000 0.500 0.000
0.000 0.500 0.500
0.748 0.004 0.787
0.713 0.496 0.752
0.748 0.004 0.209
0.252 0.996 0.791
0.252 0.996 0.213
0.291 0.496 0.752
0.287 0.504 0.248
0.709 0.504 0.248
```

Values from the calculation:
- total energy after the MP2020 corrections (eV for the cell shown) = -113.52
- calculated volume (Å³ per cell) = 179

***

# 2
First-principles (GGA+U) data for a relaxed structure of Sr3MgFe2O6, as listed in the Materials Project.

The structure in POSCAR format:
```
Sr3MgFe2O6
1.0
3.947 0.054 -0.367
-0.091 3.978 -0.356
1.110 1.157 11.472
O Sr Fe Mg
6 3 2 1
Direct
0.409 0.910 0.174
0.413 0.411 0.410
0.916 0.410 0.832
0.909 0.410 0.166
0.873 0.866 0.622
0.409 0.919 0.835
0.417 0.419 0.955
0.415 0.422 0.660
0.891 0.898 0.428
0.916 0.920 0.810
0.909 0.910 0.148
0.407 0.408 0.240
```

Values from the calculation:
- total energy after the MP2020 corrections (eV for the cell shown) = -81.94
- calculated volume (Å³ per cell) = 183

***

# 3
First-principles (GGA+U) data for a relaxed structure of MgV4O8, as listed in the Materials Project.

The structure in POSCAR format:
```
MgV4O8
1.0
3.053 0.001 -0.004
0.004 5.131 -0.059
-0.010 -0.115 9.271
O Mg V
8 1 4
Direct
0.252 0.360 0.254
0.758 0.291 0.517
0.248 0.147 0.760
0.255 0.692 0.487
0.754 0.586 0.760
0.750 0.878 0.235
0.747 0.227 0.015
0.249 0.813 0.981
0.244 0.442 0.927
0.754 0.557 0.360
0.748 0.948 0.849
0.249 0.052 0.150
0.263 0.432 0.622
```

Values from the calculation:
- total energy after the MP2020 corrections (eV for the cell shown) = -110.48
- calculated volume (Å³ per cell) = 145

***

# 4
First-principles (GGA+U) data for a relaxed structure of Li3Cr2P3O12, as listed in the Materials Project.

The structure in POSCAR format:
```
Li3Cr2P3O12
1.0
4.324 7.556 0.000
-4.324 7.556 0.000
0.000 4.985 7.112
P Li O Cr
6 6 24 4
Direct
0.527 0.750 0.761
0.247 0.471 0.741
0.047 0.956 0.251
0.750 0.527 0.261
0.956 0.047 0.751
0.471 0.247 0.241
0.964 0.649 0.563
0.112 0.258 0.328
0.635 0.383 0.731
0.649 0.964 0.063
0.383 0.635 0.231
0.258 0.112 0.828
0.717 0.376 0.460
0.946 0.527 0.212
0.019 0.112 0.066
0.065 0.448 0.781
0.376 0.717 0.960
0.527 0.946 0.712
0.407 0.278 0.739
0.942 0.235 0.744
0.596 0.724 0.260
0.517 0.248 0.388
0.235 0.942 0.244
0.758 0.071 0.766
0.448 0.065 0.281
0.112 0.019 0.566
0.724 0.596 0.760
0.884 0.988 0.431
0.481 0.735 0.622
0.988 0.884 0.931
0.248 0.517 0.888
0.071 0.758 0.266
0.274 0.626 0.544
0.735 0.481 0.122
0.278 0.407 0.239
0.626 0.274 0.044
0.147 0.646 0.069
0.353 0.847 0.439
0.847 0.353 0.939
0.646 0.147 0.569
```

Values from the calculation:
- total energy after the MP2020 corrections (eV for the cell shown) = -307.04
- calculated volume (Å³ per cell) = 465